[1]
Entry from the Materials Project database: crystalline HoAl2Ge2 at its relaxed geometry (PBE).

Values from the calculation:
As for the formation energy: -38.8 kJ/mol of atoms. The total energy comes out at -23.330 eV/cell.

Cell lengths 4.292, 4.292, 6.571 Å; angles 90.00, 90.00, 120.00 degrees
Positions (direct):
Al: 0.667 0.333 0.355
Al: 0.333 0.667 0.645
Ho: 0.000 0.000 0.000
Ge: 0.667 0.333 0.744
Ge: 0.333 0.667 0.256

[2]
Entry from the Materials Project database: crystalline Ho2Al3Ge4 at its relaxed geometry (PBE).

Values from the calculation:
As for the formation energy: -40.8 kJ/mol of atoms. The total energy comes out at -85.402 eV/cell.

Cell lengths 8.004, 8.004, 7.882 Å; angles 90.00, 90.00, 135.84 degrees
Positions (direct):
Ge: 0.703 0.797 0.250
Ge: 0.203 0.297 0.250
Ge: 0.797 0.703 0.750
Ge: 0.316 0.684 0.551
Ge: 0.297 0.203 0.750
Ge: 0.184 0.816 0.051
Ge: 0.816 0.184 0.949
Ge: 0.684 0.316 0.449
Ho: 0.614 0.386 0.082
Ho: 0.386 0.614 0.918
Ho: 0.886 0.114 0.582
Ho: 0.114 0.886 0.418
Al: 0.532 0.968 0.250
Al: 0.000 0.000 0.000
Al: 0.468 0.032 0.750
Al: 0.500 0.500 0.500
Al: 0.968 0.532 0.750
Al: 0.032 0.468 0.250

[3]
Entry from the Materials Project database: crystalline KNa3Al4Ge4O16 at its relaxed geometry (PBE).

Values from the calculation:
As for the formation energy: -224.6 kJ/mol of atoms. The total energy comes out at -350.909 eV/cell. The calculation puts the energy with MP2020 corrections at -365.8 eV per cell. The energy above the lowest structure with this stoichiometry comes out at 30.7 kJ per mole of atoms.

Cell lengths 8.776, 10.283, 10.340 Å; angles 60.49, 90.00, 90.00 degrees
Positions (direct):
O: 0.704 0.644 0.521
O: 0.255 0.045 0.716
O: 0.421 0.283 0.718
O: 0.107 0.941 0.288
O: 0.204 0.356 0.479
O: 0.249 0.718 0.236
O: 0.218 0.154 0.361
O: 0.921 0.717 0.282
O: 0.890 0.302 0.383
O: 0.718 0.846 0.639
O: 0.119 0.828 0.647
O: 0.779 0.526 0.836
O: 0.160 0.503 0.843
O: 0.619 0.172 0.353
O: 0.488 0.611 0.751
O: 0.931 0.985 0.743
O: 0.221 0.214 0.048
O: 0.755 0.955 0.284
O: 0.143 0.769 0.954
O: 0.619 0.371 0.475
O: 0.390 0.698 0.617
O: 0.600 0.737 0.227
O: 0.988 0.389 0.249
O: 0.721 0.786 0.952
O: 0.660 0.497 0.157
O: 0.119 0.629 0.525
O: 0.431 0.015 0.257
O: 0.100 0.263 0.773
O: 0.749 0.282 0.764
O: 0.643 0.231 0.046
O: 0.607 0.059 0.712
O: 0.279 0.474 0.164
Al: 0.242 0.236 0.671
Al: 0.243 0.083 0.236
Al: 0.742 0.764 0.329
Al: 0.689 0.342 0.332
Al: 0.189 0.658 0.668
Al: 0.776 0.331 0.903
Al: 0.743 0.917 0.764
Al: 0.276 0.669 0.097
K: 0.422 0.018 0.991
K: 0.922 0.982 0.009
Ge: 0.574 0.680 0.088
Ge: 0.602 0.248 0.667
Ge: 0.102 0.752 0.333
Ge: 0.681 0.662 0.679
Ge: 0.181 0.338 0.321
Ge: 0.074 0.320 0.912
Ge: 0.114 0.906 0.765
Ge: 0.614 0.094 0.235
Na: 0.438 0.575 0.449
Na: 0.433 0.003 0.549
Na: 0.938 0.425 0.551
Na: 0.397 0.416 0.984
Na: 0.933 0.997 0.451
Na: 0.897 0.584 0.016

[4]
Entry from the Materials Project database: crystalline KNa3Al4Ge4O16 at its relaxed geometry (PBE).

Values from the calculation:
As for the formation energy: -255.3 kJ/mol of atoms. The total energy comes out at -361.632 eV/cell. The calculation puts the energy with MP2020 corrections at -383.6 eV per cell. The energy above the lowest structure with this stoichiometry comes out at 0.0 kJ per mole of atoms.

Cell lengths 8.692, 10.209, 10.364 Å; angles 119.05, 90.00, 90.00 degrees
Positions (direct):
Ge: 0.877 0.652 0.335
Ge: 0.380 0.758 0.100
Ge: 0.385 0.909 0.659
Ge: 0.888 0.679 0.761
Ge: 0.880 0.242 0.900
Ge: 0.885 0.091 0.341
Ge: 0.388 0.321 0.239
Ge: 0.377 0.348 0.665
O: 0.767 0.516 0.350
O: 0.897 0.224 0.279
O: 0.070 0.304 0.960
O: 0.245 0.225 0.280
O: 0.796 0.357 0.837
O: 0.571 0.266 0.270
O: 0.347 0.359 0.839
O: 0.070 0.610 0.350
O: 0.390 0.949 0.230
O: 0.397 0.776 0.721
O: 0.745 0.775 0.720
O: 0.570 0.696 0.040
O: 0.071 0.019 0.334
O: 0.570 0.390 0.650
O: 0.830 0.833 0.476
O: 0.261 0.738 0.954
O: 0.814 0.167 0.523
O: 0.754 0.949 0.229
O: 0.871 0.485 0.646
O: 0.761 0.262 0.046
O: 0.847 0.641 0.161
O: 0.571 0.981 0.666
O: 0.254 0.051 0.771
O: 0.330 0.167 0.524
O: 0.296 0.643 0.163
O: 0.071 0.734 0.730
O: 0.380 0.266 0.049
O: 0.371 0.515 0.354
O: 0.880 0.734 0.951
O: 0.314 0.833 0.477
O: 0.890 0.051 0.770
O: 0.267 0.484 0.650
Na: 0.071 0.562 0.000
Na: 0.071 0.992 0.562
Na: 0.571 0.008 0.438
Na: 0.571 0.438 0.000
Na: 0.571 0.564 0.547
Na: 0.071 0.436 0.453
K: 0.074 0.012 0.008
K: 0.574 0.988 0.992
Al: 0.263 0.653 0.336
Al: 0.259 0.092 0.342
Al: 0.262 0.244 0.902
Al: 0.762 0.756 0.098
Al: 0.763 0.347 0.664
Al: 0.759 0.908 0.658
Al: 0.753 0.320 0.237
Al: 0.253 0.680 0.763

[5]
Entry from the Materials Project database: crystalline LaAlGe at its relaxed geometry (PBE).

Values from the calculation:
As for the formation energy: -68.8 kJ/mol of atoms. The total energy comes out at -30.886 eV/cell.

Cell lengths 4.371, 4.371, 8.042 Å; angles 105.77, 105.77, 90.00 degrees
Positions (direct):
Al: 0.417 0.917 0.834
Al: 0.167 0.167 0.334
Ge: 0.584 0.084 0.168
Ge: 0.334 0.334 0.668
La: 0.001 0.501 0.001
La: 0.751 0.751 0.501

[6]
Entry from the Materials Project database: crystalline La2Al2Ge at its relaxed geometry (PBE).

Values from the calculation:
As for the formation energy: -61.6 kJ/mol of atoms. The total energy comes out at -50.357 eV/cell.

Cell lengths 13.739, 13.739, 4.596 Å; angles 90.00, 90.00, 162.69 degrees
Positions (direct):
Al: 0.881 0.119 0.750
Al: 0.024 0.976 0.250
Al: 0.976 0.024 0.750
Al: 0.119 0.881 0.250
La: 0.575 0.425 0.750
La: 0.425 0.575 0.250
La: 0.204 0.796 0.750
La: 0.796 0.204 0.250
Ge: 0.326 0.674 0.750
Ge: 0.674 0.326 0.250

[7]
Entry from the Materials Project database: crystalline La2Al3Ge at its relaxed geometry (PBE).

Values from the calculation:
As for the formation energy: -56.0 kJ/mol of atoms. The total energy comes out at -29.215 eV/cell.

Cell lengths 4.398, 4.398, 8.876 Å; angles 90.00, 90.00, 120.00 degrees
Positions (direct):
Al: 0.333 0.667 0.500
Al: 0.333 0.667 0.000
Al: 0.000 0.000 0.500
La: 0.667 0.333 0.751
La: 0.667 0.333 0.249
Ge: 0.000 0.000 0.000

[8]
Entry from the Materials Project database: crystalline LiAl2Ge at its relaxed geometry (PBE).

Values from the calculation:
As for the formation energy: 7.2 kJ/mol of atoms. The total energy comes out at -13.723 eV/cell.

Cell lengths 4.612, 4.612, 4.612 Å; angles 60.00, 60.00, 60.00 degrees
Positions (direct):
Al: 0.250 0.250 0.250
Al: 0.750 0.750 0.750
Li: 0.500 0.500 0.500
Ge: 0.000 0.000 0.000

[9]
Entry from the Materials Project database: crystalline LiAlGeO5 at its relaxed geometry (PBE).

Values from the calculation:
As for the formation energy: -202.2 kJ/mol of atoms. The total energy comes out at -193.382 eV/cell. The calculation puts the energy with MP2020 corrections at -207.1 eV per cell.

Cell lengths 5.169, 8.351, 10.807 Å; angles 90.00, 90.00, 90.00 degrees
Positions (direct):
Ge: 0.751 0.868 0.138
Ge: 0.751 0.632 0.638
Ge: 0.251 0.368 0.362
Ge: 0.251 0.132 0.862
O: 0.419 0.609 0.671
O: 0.919 0.391 0.329
O: 0.375 0.298 0.780
O: 0.875 0.702 0.220
O: 0.918 0.458 0.690
O: 0.418 0.958 0.810
O: 0.918 0.042 0.190
O: 0.744 0.409 0.989
O: 0.919 0.109 0.829
O: 0.814 0.668 0.481
O: 0.244 0.591 0.011
O: 0.419 0.891 0.171
O: 0.814 0.832 0.981
O: 0.314 0.332 0.519
O: 0.744 0.091 0.489
O: 0.418 0.542 0.310
O: 0.244 0.909 0.511
O: 0.314 0.168 0.019
O: 0.875 0.798 0.720
O: 0.375 0.202 0.280
Li: 0.747 0.181 0.310
Li: 0.247 0.819 0.690
Li: 0.747 0.319 0.810
Li: 0.247 0.681 0.190
Al: 0.251 0.078 0.163
Al: 0.751 0.578 0.337
Al: 0.251 0.422 0.663
Al: 0.751 0.922 0.837

[10]
Entry from the Materials Project database: crystalline LiAlGe2O6 at its relaxed geometry (PBE).

Values from the calculation:
As for the formation energy: -241.6 kJ/mol of atoms. The total energy comes out at -262.035 eV/cell. The calculation puts the energy with MP2020 corrections at -278.5 eV per cell.

Cell lengths 8.490, 5.459, 9.596 Å; angles 78.86, 90.00, 90.00 degrees
Positions (direct):
O: 0.568 0.791 0.643
O: 0.743 0.411 0.889
O: 0.690 0.118 0.174
O: 0.927 0.543 0.603
O: 0.402 0.036 0.090
O: 0.810 0.118 0.674
O: 0.902 0.964 0.410
O: 0.243 0.589 0.611
O: 0.511 0.698 0.359
O: 0.257 0.589 0.111
O: 0.932 0.791 0.143
O: 0.011 0.302 0.141
O: 0.310 0.882 0.826
O: 0.098 0.036 0.590
O: 0.573 0.543 0.103
O: 0.757 0.411 0.389
O: 0.427 0.457 0.897
O: 0.598 0.964 0.910
O: 0.190 0.882 0.326
O: 0.073 0.457 0.397
O: 0.489 0.302 0.641
O: 0.068 0.209 0.857
O: 0.989 0.698 0.859
O: 0.432 0.209 0.357
Al: 0.087 0.750 0.495
Al: 0.587 0.250 0.005
Al: 0.913 0.250 0.505
Al: 0.413 0.750 0.995
Ge: 0.584 0.431 0.291
Ge: 0.416 0.569 0.709
Ge: 0.113 0.946 0.779
Ge: 0.613 0.054 0.721
Ge: 0.916 0.431 0.791
Ge: 0.387 0.946 0.279
Ge: 0.084 0.569 0.209
Ge: 0.887 0.054 0.221
Li: 0.783 0.705 0.992
Li: 0.217 0.295 0.008
Li: 0.717 0.705 0.492
Li: 0.283 0.295 0.508

[11]
Entry from the Materials Project database: crystalline Mg16Al12Ge at its relaxed geometry (PBE).

Values from the calculation:
As for the formation energy: -1.6 kJ/mol of atoms. The total energy comes out at -75.642 eV/cell. The energy above the lowest structure with this stoichiometry comes out at 0.0 kJ per mole of atoms.

Cell lengths 9.090, 9.090, 9.090 Å; angles 109.31, 109.31, 109.31 degrees
Positions (direct):
Al: 0.358 0.170 0.358
Al: 0.632 0.816 0.003
Al: 0.170 0.358 0.358
Al: 0.632 0.003 0.816
Al: 0.186 0.810 0.186
Al: 0.186 0.186 0.810
Al: 0.003 0.816 0.632
Al: 0.358 0.358 0.170
Al: 0.810 0.186 0.186
Al: 0.816 0.632 0.003
Al: 0.003 0.632 0.816
Al: 0.816 0.003 0.632
Mg: 0.596 0.998 0.317
Mg: 0.596 0.317 0.998
Mg: 0.409 0.706 0.409
Mg: 0.409 0.409 0.706
Mg: 0.998 0.596 0.317
Mg: 0.998 0.346 0.998
Mg: 0.683 0.283 0.683
Mg: 0.998 0.317 0.596
Mg: 0.346 0.998 0.998
Mg: 0.998 0.998 0.346
Mg: 0.317 0.596 0.998
Mg: 0.706 0.409 0.409
Mg: 0.003 0.003 0.003
Mg: 0.683 0.683 0.283
Mg: 0.283 0.683 0.683
Mg: 0.317 0.998 0.596
Ge: 0.691 0.691 0.691

[12]
Entry from the Materials Project database: crystalline Mg16Al12Ge at its relaxed geometry (PBE).

Values from the calculation:
As for the formation energy: 0.2 kJ/mol of atoms. The total energy comes out at -75.126 eV/cell. The energy above the lowest structure with this stoichiometry comes out at 1.7 kJ per mole of atoms.

Cell lengths 9.100, 9.100, 9.100 Å; angles 109.47, 109.47, 109.47 degrees
Positions (direct):
Mg: 0.402 0.715 0.402
Mg: 0.687 0.687 0.285
Mg: 0.715 0.402 0.402
Mg: 0.313 0.000 0.598
Mg: 0.687 0.285 0.687
Mg: 0.285 0.687 0.687
Mg: 0.000 0.313 0.598
Mg: 0.000 0.334 0.000
Mg: 0.402 0.402 0.715
Mg: 0.313 0.598 0.000
Mg: 0.000 0.000 0.334
Mg: 0.598 0.313 0.000
Mg: 0.598 0.000 0.313
Mg: 0.000 0.598 0.313
Mg: 0.666 0.666 0.666
Mg: 0.334 0.000 0.000
Ge: 0.000 0.000 0.000
Al: 0.000 0.813 0.630
Al: 0.370 0.183 0.370
Al: 0.817 0.187 0.187
Al: 0.630 0.000 0.813
Al: 0.813 0.000 0.630
Al: 0.630 0.813 0.000
Al: 0.370 0.370 0.183
Al: 0.813 0.630 0.000
Al: 0.000 0.630 0.813
Al: 0.187 0.817 0.187
Al: 0.183 0.370 0.370
Al: 0.187 0.187 0.817